1.
Na5HfNb3Si6O24 | GGA-PBE | relaxed

Calculated values
Calculated formation energy: -3061.8 meV/atom
Space-group type: P1
Magnetic moment: 0.0 μB/f.u.

```
117
Lattice="9.079 -0.012 0.016 -4.550 7.841 -0.017 0.040 -0.028 22.813" Properties=species:S:1:pos:R:3 pbc="T T T"
O 3.980 6.323 13.440
O -0.578 6.723 19.640
O 0.664 1.493 9.413
O 1.652 5.458 22.161
O 0.941 3.932 1.690
O -0.992 3.865 19.566
O -1.008 6.541 22.244
O 1.047 3.894 8.169
O 0.588 6.747 8.228
O 5.168 4.119 0.621
O -3.490 6.572 9.398
O 5.124 0.965 3.150
O 7.503 0.177 2.053
O 1.741 0.243 7.044
O 1.014 1.237 2.041
O 5.584 3.815 9.671
O 6.226 2.370 11.985
O 8.144 1.241 13.471
O 2.916 2.353 0.631
O 2.942 7.540 15.837
O -1.600 5.117 1.694
O 2.949 2.473 17.028
O 6.170 2.717 21.065
O -2.918 7.616 20.727
O 5.224 6.401 2.030
O 5.167 6.308 18.381
O -1.019 6.443 5.856
O 1.576 5.373 5.843
O -0.651 1.430 20.749
O 5.644 4.004 3.256
O 2.974 2.768 9.671
O 3.602 3.849 21.073
O 6.296 2.890 14.634
O 3.535 6.548 20.735
O 8.033 1.381 7.082
O 3.472 3.985 14.672
O -2.871 7.554 4.373
O 5.618 1.328 17.011
O 2.929 7.708 9.424
O 5.576 1.257 0.537
O -1.558 5.373 17.265
O -0.983 3.942 13.097
O 1.700 4.977 19.562
O -0.591 3.745 5.840
O 3.515 6.531 4.393
O 0.619 3.707 10.769
O 1.604 5.037 13.116
O 0.616 3.710 17.259
O 0.985 6.516 10.796
O 3.953 4.123 12.049
O 5.210 4.092 17.011
O 3.543 1.338 5.584
O 1.057 6.425 17.259
O 4.006 1.075 21.062
O -0.703 6.635 13.107
O 0.602 6.702 1.676
O 1.609 0.110 13.449
O 5.144 1.105 9.668
O -0.594 3.683 22.175
O 3.940 6.217 6.977
O -1.646 5.431 10.816
O 0.608 1.513 15.835
O 3.526 1.250 11.964
O 3.868 4.071 5.561
O -3.478 6.500 15.751
O 2.775 2.857 3.257
O 1.005 1.280 18.410
O 6.155 2.514 5.593
O -0.569 1.528 4.437
O -1.653 4.942 8.188
O 7.451 0.193 18.461
O 3.933 0.980 14.589
Si 6.485 -0.029 17.147
Si 5.859 4.879 1.925
Si 3.213 5.548 5.697
Si -1.305 7.470 20.943
Si 7.195 2.568 13.320
Si 7.741 2.242 5.741
Si 1.899 2.626 1.924
Si -3.184 5.579 17.085
Si 2.658 5.167 20.903
Si -2.621 5.215 9.512
Si 3.213 4.869 13.347
Si -1.289 2.937 20.903
Si 1.359 2.237 17.122
Si 3.241 0.315 13.304
Si 1.341 7.478 9.517
Si 1.351 2.963 9.500
Si 2.648 -0.002 5.710
Si 5.876 0.328 1.873
Na -2.860 5.454 13.313
Na 0.049 5.259 15.180
Na -1.654 7.593 1.903
Na 4.512 2.575 19.032
Na 4.493 7.806 11.399
Na 6.167 4.939 5.676
Na 0.001 0.000 0.023
Na 7.452 2.313 9.487
Na 0.055 5.226 3.757
Na 2.873 0.249 9.490
Na 7.425 2.847 17.108
Na 1.683 2.836 5.673
Na 2.926 4.921 17.091
Na 6.237 0.232 20.947
Na 4.553 2.594 7.553
Nb 0.022 5.244 7.120
Nb 0.009 0.015 14.718
Nb 0.057 5.209 11.881
Nb 0.008 5.182 0.468
Nb 0.082 -0.022 19.508
Nb 4.560 2.623 22.364
Nb 4.537 2.624 10.973
Nb 4.480 7.823 3.312
Nb 0.008 5.232 18.566
Hf 4.541 2.537 15.660
Hf 4.563 2.562 4.223
Hf 4.524 7.782 8.053
```

=====

2.
NaNdHf4O12 | GGA-PBE | relaxed

Calculated values
Calculated formation energy: -3197.5 meV/atom
Space-group type: Amm2
Magnetic moment: 4.0 μB/f.u.

```
18
Lattice="-2.347 -2.409 -4.601 -4.498 3.471 0.446 3.779 5.516 -4.816" Properties=species:S:1:pos:R:3 pbc="T T T"
Hf 0.499 5.827 -3.357
Hf -4.644 3.706 -3.078
Hf -1.309 3.188 -1.053
Hf -2.837 6.344 -5.381
O 1.518 4.538 -4.629
O -2.765 3.323 -2.447
O -5.373 2.297 -1.585
O 0.398 1.727 -4.760
O -2.607 1.867 0.093
O -4.587 2.050 -4.332
O -1.174 5.645 -4.473
O -2.145 0.176 -4.273
O 0.139 3.508 -7.182
O -2.459 5.156 -7.044
O -2.483 2.174 -6.509
O -0.610 1.433 -1.918
Na -1.512 3.234 -4.532
Nd -2.385 -2.303 -4.510
```

=====

3.
NaNdHfTiO6 | GGA-PBE | relaxed

Calculated values
Calculated formation energy: -3431.8 meV/atom
Space-group type: F-43m
Magnetic moment: 0.0 μB/f.u.

```
10
Lattice="0.000 -3.992 -3.992 3.992 0.000 -3.992 3.992 -3.992 0.000" Properties=species:S:1:pos:R:3 pbc="T T T"
Hf 0.000 0.000 0.000
O 3.992 -5.939 -3.992
O 5.939 -3.992 -3.992
O 3.992 -3.992 -5.939
O 2.046 -3.992 -3.992
O 3.992 -3.992 -2.046
O 3.992 -2.046 -3.992
Na 1.996 -1.996 -1.996
Nd 5.989 -5.989 -5.989
Ti 3.992 -3.992 -3.992
```

=====

4.
Na2Hf2O5 | GGA-PBE | relaxed

Calculated values
Calculated formation energy: -3169.4 meV/atom
Space-group type: P4/mmm

```
9
Lattice="-3.818 0.431 -1.061 -1.144 -1.587 3.473 -0.094 7.339 3.323" Properties=species:S:1:pos:R:3 pbc="T T T"
O -0.591 0.680 2.403
O -0.647 5.072 4.392
O -1.928 1.689 0.137
O -1.984 6.081 2.125
O -2.528 3.092 2.867
Na 0.000 0.000 0.000
Na -0.047 3.669 1.661
Hf -2.505 1.276 2.045
Hf -2.551 4.908 3.689
```

=====

5.
NaHf2P3O12 | GGA-PBE | relaxed

Calculated values
Calculated formation energy: -3251.4 meV/atom
Space-group type: R-3c
Magnetic moment: 0.0 μB/f.u.

```
36
Lattice="8.044 -4.429 0.000 8.044 4.429 0.000 5.605 0.000 7.273" Properties=species:S:1:pos:R:3 pbc="T T T"
O 8.535 0.960 4.232
O 9.472 -3.784 2.041
O 9.465 2.733 5.723
O 15.565 0.727 3.596
O 7.917 0.960 6.678
O 7.062 -0.969 0.892
O 9.865 -3.460 4.529
O 6.662 1.696 2.086
O 15.031 -1.696 5.187
O 13.776 -0.960 0.595
O 11.370 0.727 0.041
O 11.828 3.460 2.744
O 12.229 -2.733 1.550
O 12.803 1.606 4.101
O 11.693 -2.823 6.809
O 14.631 0.969 6.381
O 10.001 2.823 0.464
O 12.275 -0.645 5.678
O 13.159 -0.960 3.041
O 10.324 -0.727 7.232
O 8.890 -1.606 3.172
O 9.419 0.645 1.595
O 6.128 -0.727 3.678
O 12.221 3.784 5.232
P 9.956 1.287 0.295
P 13.467 -1.855 1.818
P 12.759 3.142 3.932
P 8.935 -3.142 3.342
P 11.737 -1.287 6.978
P 8.226 1.855 5.455
Hf 7.689 0.000 2.578
Hf 14.005 0.000 4.696
Hf 18.535 0.000 6.215
Hf 3.158 0.000 1.059
Na 0.000 0.000 0.000
Na 10.847 0.000 3.637
```

=====

6.
NaHf2Sc2P3S3O24 | GGA-PBE | relaxed

Calculated values
Calculated formation energy: -2899.9 meV/atom
Space-group type: P1
Magnetic moment: 0.0 μB/f.u.

```
105
Lattice="-8.503 -0.873 -2.296 3.182 -4.416 6.990 -5.559 17.711 13.669" Properties=species:S:1:pos:R:3 pbc="T T T"
P -3.942 5.403 7.551
P -5.170 0.678 6.745
P -0.680 -0.242 9.719
P -2.618 -0.321 2.585
P -7.013 8.264 15.612
P -4.242 14.503 15.072
P -0.567 4.396 10.221
P -10.405 9.290 12.937
P -5.989 0.716 -0.075
Hf -3.548 5.970 10.954
Hf -13.194 14.282 9.419
Hf -6.113 -2.713 6.666
Hf -0.852 -2.826 4.131
Hf 1.126 1.890 11.778
Hf -8.901 6.223 13.504
O -5.431 5.537 7.160
O -5.496 6.875 11.188
O -7.790 13.606 16.850
O -7.737 6.242 11.785
O -9.535 10.079 11.939
O -3.564 3.931 7.569
O -3.451 11.623 18.812
O -7.151 12.038 15.095
O -4.854 3.208 3.398
O -3.764 0.366 3.327
O -1.280 2.349 6.367
O -8.856 15.328 12.421
O -6.353 8.346 7.281
O -0.665 2.564 4.095
O -2.763 7.910 10.971
O -4.758 11.289 10.561
O -3.365 10.222 14.838
O -3.608 2.135 9.960
O -5.676 -2.610 2.291
O -9.844 8.876 9.207
O -3.099 -1.252 1.476
O -5.357 11.113 12.862
O -5.253 14.986 16.151
O -7.572 7.317 14.502
O -7.304 8.424 10.822
O -7.408 6.390 5.254
O 0.150 3.579 11.313
O -11.049 8.850 7.108
O -3.469 6.025 13.104
O -1.461 8.662 15.227
O -6.152 1.134 7.867
O -5.106 11.116 17.117
O -7.150 6.401 9.481
O -9.209 11.773 16.342
O -4.343 12.983 14.926
O -5.593 -0.767 -0.125
O -3.075 6.204 6.569
O -9.204 7.339 7.435
O -3.330 5.083 3.882
O -1.624 0.716 2.042
O -8.091 4.563 7.354
O -7.472 0.836 -0.476
O -1.083 3.509 9.105
O -4.639 15.161 13.719
O -5.665 13.237 11.725
O -1.860 -1.171 3.675
O -5.589 1.370 5.440
O -5.762 1.330 1.303
O -4.517 4.096 11.100
O -5.256 -0.867 6.613
O -5.285 13.134 18.470
O -7.550 2.221 3.545
O -4.937 10.213 7.806
O 0.518 -0.983 9.084
O -3.757 6.017 8.986
O -10.181 9.860 14.356
O -1.946 -2.924 5.861
O -11.414 13.370 9.300
O -3.721 1.025 7.126
O -1.754 5.140 10.927
O -7.267 10.284 8.434
O -7.095 11.402 11.224
O -6.615 -0.648 3.430
O -11.306 14.026 13.145
O -9.377 3.708 3.169
O -6.082 9.292 15.013
O -1.378 0.589 8.641
O 0.487 -1.634 5.233
O -5.949 2.245 10.582
O -8.980 13.538 14.719
O -9.492 11.827 9.698
O -6.282 -2.763 4.577
Na -1.703 -0.265 6.229
Na -6.414 3.796 5.367
Na -9.307 12.704 12.190
S -5.711 11.755 11.610
S -4.887 11.708 18.443
S -10.311 8.027 8.098
S -4.568 2.604 10.952
S -6.613 -2.098 3.297
S -8.962 2.284 3.148
S -6.918 7.010 10.796
S -6.318 9.806 7.416
S -8.258 12.748 15.725
Sc -7.232 6.376 7.367
Sc -8.497 10.143 10.199
Sc -5.138 11.121 14.988
Sc -2.463 2.310 8.154
Sc -5.532 1.291 3.342
Sc -10.108 15.411 14.181
```